(1)
Ba2CePuO6: optimized geometry, PBE. Values from VASP.

Uncorrected energy = -8.449 eV per atom
Total magnetization = 4.000 μB per cell
Space-group type = Fm-3m (225)
Formation energy from the elements = -3.489 eV/atom

Structure (Quantum ESPRESSO input):
```
&SYSTEM
  ibrav = 0, nat = 10, ntyp = 4
/
ATOMIC_SPECIES
O 16.00 O.upf
Ce 140.12 Ce.upf
Ba 137.33 Ba.upf
Pu 244.00 Pu.upf
CELL_PARAMETERS angstrom
3.7999 -4.4702 2.2492
2.5154 -4.2386 -3.8972
6.1496 0.1680 -1.2788
ATOMIC_POSITIONS crystal
O 0.7536 0.2464 0.7536
O 0.2464 0.2464 0.7536
O 0.2464 0.7536 0.7536
O 0.2464 0.7536 0.2464
O 0.7536 0.2464 0.2464
O 0.7536 0.7536 0.2464
Ce 0.5000 0.5000 0.5000
Ba 0.7500 0.7500 0.7500
Ba 0.2500 0.2500 0.2500
Pu 0.0000 0.0000 0.0000
```

***

(2)
Sm3MnAlS7: optimized geometry, PBE. Values from VASP.

Uncorrected energy = -6.291 eV per atom
Total magnetization = 10.002 μB per cell
Space-group type = P6_3 (173)
Formation energy from the elements = -1.916 eV/atom

Structure (Quantum ESPRESSO input):
```
&SYSTEM
  ibrav = 0, nat = 24, ntyp = 4
/
ATOMIC_SPECIES
S 32.06 S.upf
Sm 150.36 Sm.upf
Al 26.98 Al.upf
Mn 54.94 Mn.upf
CELL_PARAMETERS angstrom
4.9331 -8.5444 0.0000
4.9331 8.5444 0.0000
0.0000 0.0000 6.1441
ATOMIC_POSITIONS crystal
S 0.7584 0.8571 0.8042
S 0.5207 0.0951 0.0087
S 0.4793 0.9049 0.5087
S 0.4256 0.5207 0.5087
S 0.1429 0.9013 0.8042
S 0.2416 0.1429 0.3042
S 0.0951 0.5744 0.5087
S 0.5744 0.4793 0.0087
S 0.3333 0.6667 0.0246
S 0.0987 0.2416 0.8042
S 0.9049 0.4256 0.0087
S 0.6667 0.3333 0.5246
S 0.8571 0.0987 0.3042
S 0.9013 0.7584 0.3042
Sm 0.6224 0.7716 0.2372
Sm 0.2284 0.8508 0.2372
Sm 0.8508 0.6224 0.7372
Sm 0.1492 0.3776 0.2372
Sm 0.7716 0.1492 0.7372
Sm 0.3776 0.2284 0.7372
Al 0.3333 0.6667 0.6599
Al 0.6667 0.3333 0.1599
Mn 0.0000 0.0000 0.0295
Mn 0.0000 0.0000 0.5295
```